A plane-wave DFT calculation with PBE with a Hubbard U was carried out for a relaxed Ba2MnNbO6 crystal.

Unit cell a=5.9141 b=5.9141 c=8.0361 alpha=90.00 beta=90.00 gamma=85.61
Closest atoms and distances in Å follow each position.
Element x y z (fractional)
Nb 0.0002 0.5000 0.7498  6 O 2.00-2.04
O 0.5000 0.0000 0.5042  1 Mn 1.98, 1 Nb 2.04
O 0.2306 0.7306 0.7501  1 Nb 2.00
Nb 0.4998 0.0000 0.2502  6 O 2.00-2.04
Ba 0.5000 0.5001 0.0000  12 O 2.85-2.96
O 0.7692 0.2693 0.7501  1 Nb 2.00
O 0.2543 0.2457 0.7500  1 Mn 1.98, 1 Nb 2.04
O 0.2457 0.2542 0.2500  1 Mn 1.98, 1 Nb 2.04
O 0.9999 0.5000 0.4958  1 Mn 1.98, 1 Nb 2.04
O 0.5000 0.0000 0.9960  1 Mn 1.98, 1 Nb 2.04
O 0.7308 0.2306 0.2499  1 Nb 2.00
O 0.2695 0.7692 0.2499  1 Nb 2.00
O 0.7542 0.7457 0.2500  1 Mn 1.98, 1 Nb 2.04
Mn 0.5000 0.0000 0.7501  4 O 1.98
Ba 0.5000 0.5001 0.5000  12 O 2.85-2.96
Ba 0.0001 0.0001 0.0000  12 O 2.85-2.96
Ba 0.0001 0.0001 0.5000  12 O 2.85-2.96
Mn 0.0002 0.5002 0.2499  4 O 1.98
O 0.7458 0.7542 0.7500  1 Mn 1.98, 1 Nb 2.04
O 0.9999 0.4999 0.0041  1 Mn 1.98, 1 Nb 2.04

---

A plane-wave DFT calculation with PBE with a Hubbard U was carried out for a relaxed Ba3MnNb2O9 crystal.

Unit cell a=9.3635 b=9.3635 c=11.8200 alpha=108.40 beta=108.40 gamma=66.27
Closest atoms and distances in Å follow each position.
Element x y z (fractional)
O 0.5000 0.5000 0.0000  2 Nb 2.13
O 0.7500 0.2500 0.3750  2 Nb 2.13
O 0.3343 0.9874 0.5804  1 Nb 1.95
Ba 0.0000 0.0000 0.5000  12 O 2.93-2.95
O 0.0741 0.2476 0.9503  1 Nb 1.95
O 0.2500 0.7500 0.6250  2 Nb 2.13
Nb 0.9209 0.2543 0.2938  6 O 1.95-2.13
Nb 0.5791 0.2457 0.4562  6 O 1.95-2.13
O 0.2500 0.7500 0.8750  2 Nb 2.13
O 0.9259 0.7524 0.7895  1 Nb 1.95
O 0.5741 0.7476 0.2003  1 Nb 1.95
Nb 0.0791 0.7457 0.2062  6 O 1.95-2.13
O 0.4259 0.2524 0.7997  1 Nb 1.95
Mn 0.2500 0.2500 0.6250  6 O 2.20
O 0.0000 0.0000 0.7500  2 Nb 2.13
O 0.5741 0.7476 0.4605  1 Nb 1.95
Nb 0.5791 0.2457 0.9562  6 O 1.95-2.13
O 0.6657 0.0126 0.9196  1 Nb 1.95
Ba 0.3332 0.9998 0.8332  12 O 2.96-2.99
O 0.6657 0.0126 0.4196  1 Nb 1.95
O 0.1657 0.5126 0.1696  1 Nb 1.95
O 0.7500 0.2500 0.6250  2 Nb 2.13
O 0.2500 0.7500 0.1250  2 Nb 2.13
Ba 0.8332 0.4998 0.0832  12 O 2.96-2.99
O 0.2500 0.7500 0.3750  2 Nb 2.13
Mn 0.7500 0.7500 0.3750  6 O 2.20
O 0.8343 0.4874 0.8304  1 Nb 1.95
O 0.7500 0.2500 0.8750  2 Nb 2.13
O 0.7500 0.2500 0.1250  2 Nb 2.13
O 0.3343 0.9874 0.0804  1 Nb 1.95
Nb 0.9209 0.2543 0.7938  6 O 1.95-2.13
Ba 0.5000 0.5000 0.7500  12 O 2.93-2.95
O 0.4259 0.2524 0.0395  1 Nb 1.95
Nb 0.4209 0.7543 0.5438  6 O 1.95-2.13
O 0.0741 0.2476 0.7105  1 Nb 1.95
O 0.0741 0.2476 0.2105  1 Nb 1.95
O 0.5741 0.7476 0.7003  1 Nb 1.95
O 0.9259 0.7524 0.5497  1 Nb 1.95
Mn 0.7500 0.7500 0.8750  6 O 2.20
Nb 0.4209 0.7543 0.0438  6 O 1.95-2.13
Ba 0.5000 0.5000 0.2500  12 O 2.93-2.95
Ba 0.3332 0.9998 0.3332  12 O 2.96-2.99
O 0.4259 0.2524 0.2997  1 Nb 1.95
O 0.8343 0.4874 0.3304  1 Nb 1.95
O 0.9259 0.7524 0.2895  1 Nb 1.95
Ba 0.8332 0.4998 0.5832  12 O 2.96-2.99
Mn 0.2500 0.2500 0.1250  6 O 2.20
O 0.0000 0.0000 0.2500  2 Nb 2.13
O 0.0741 0.2476 0.4503  1 Nb 1.95
O 0.1657 0.5126 0.6696  1 Nb 1.95
Ba 0.0000 0.0000 0.0000  12 O 2.93-2.95
O 0.5000 0.5000 0.5000  2 Nb 2.13
O 0.9259 0.7524 0.0497  1 Nb 1.95
Ba 0.1668 0.5002 0.9168  12 O 2.96-2.99
Ba 0.6668 0.0002 0.1668  12 O 2.96-2.99
O 0.5741 0.7476 0.9605  1 Nb 1.95
O 0.4259 0.2524 0.5395  1 Nb 1.95
Nb 0.0791 0.7457 0.7062  6 O 1.95-2.13
Ba 0.6668 0.0002 0.6668  12 O 2.96-2.99
Ba 0.1668 0.5002 0.4168  12 O 2.96-2.99

---

A plane-wave DFT calculation with PBE with a Hubbard U was carried out for a relaxed Ba2MnNbO6 crystal.

Properties
SG: P-1, No. 2

Unit cell a=5.7975 b=5.7970 c=19.3003 alpha=82.61 beta=91.57 gamma=61.23
Closest atoms and distances in Å follow each position.
Element x y z (fractional)
Mn 0.3125 0.3753 0.9375  4 O 2.00
O 0.8941 0.7352 0.1253  1 Mn 2.00, 1 Nb 2.04
O 0.3943 0.7350 0.6253  1 Mn 2.00, 1 Nb 2.04
O 0.3924 0.2268 0.6239  1 Mn 2.00, 1 Nb 2.12
Nb 0.4259 0.1364 0.3125  6 O 1.95-2.12
Mn 0.8122 0.3748 0.4375  4 O 2.00
O 0.1009 0.2697 0.3740  1 Mn 2.00, 1 Nb 2.12
O 0.0243 0.4800 0.0011  1 Mn 2.00, 1 Nb 2.13
O 0.5242 0.4799 0.5012  1 Mn 2.00, 1 Nb 2.13
O 0.5958 0.7908 0.3730  1 Nb 1.95
Ba 0.6196 0.7562 0.8749  12 O 2.81-3.02
O 0.0291 0.9593 0.5019  1 Nb 1.95
O 0.0964 0.7905 0.8731  1 Nb 1.95
Ba 0.7430 0.5069 0.2502  12 O 2.81-3.02
O 0.7329 0.5230 0.7510  1 Mn 2.00, 1 Nb 2.13
O 0.2117 0.0268 0.7520  1 Nb 1.94
Ba 0.3812 0.2436 0.1249  12 O 2.81-3.01
O 0.0145 0.4812 0.4994  1 Mn 2.00, 1 Nb 2.04
O 0.8922 0.2269 0.1239  1 Mn 2.00, 1 Nb 2.13
Ba 0.8814 0.2435 0.6248  12 O 2.81-3.01
O 0.6101 0.2688 0.3755  1 Mn 2.00, 1 Nb 2.04
O 0.2322 0.5229 0.2511  1 Mn 2.00, 1 Nb 2.12
Mn 0.5633 0.8745 0.6874  4 O 2.00
Nb 0.9269 0.1360 0.8125  6 O 1.94-2.13
O 0.7308 0.0150 0.7498  1 Mn 2.00, 1 Nb 2.04
Nb 0.1984 0.6137 0.5625  6 O 1.95-2.13
O 0.7114 0.0271 0.2520  1 Nb 1.95
O 0.1106 0.2689 0.8755  1 Mn 2.00, 1 Nb 2.04
O 0.6010 0.2701 0.8739  1 Mn 2.00, 1 Nb 2.13
Ba 0.2445 0.5060 0.7501  12 O 2.81-3.02
O 0.4134 0.7230 0.1230  1 Nb 1.95
O 0.5293 0.9593 0.0019  1 Nb 1.94
Ba 0.5058 0.9937 0.5001  12 O 2.81-3.02
O 0.9133 0.7232 0.6231  1 Nb 1.95
Ba 0.1180 0.7567 0.3750  12 O 2.81-3.02
Mn 0.0620 0.8753 0.1875  4 O 2.00
Nb 0.6984 0.6139 0.0625  6 O 1.94-2.13
Ba 0.0067 0.9935 0.0000  12 O 2.81-3.01
O 0.5149 0.4814 0.9994  1 Mn 2.00, 1 Nb 2.04
O 0.2305 0.0149 0.2498  1 Mn 2.00, 1 Nb 2.04

---

| no. | formation energy (eV/atom) |
| --- | --- |
| 1 | -2.96 |
| 2 | -3.13 |
| 3 | -2.96 |